DFT (PBE-GGA) results for CdCBr3N after structural relaxation.

Unit cell a=7.6813 b=7.6813 c=6.8508 alpha=90.00 beta=90.00 gamma=119.91
Last column: nearest neighbours and their distance in Å.
Fractional coordinates of all 12 atoms:
Br (0.3346, 0.1677, 0.0660)  2 Cd 2.80-2.82
N (0.6743, 0.3257, 0.4712)  1 C 1.18
Cd (0.9997, 0.0003, 0.8189)  6 Br 2.80-2.82
Br (0.8323, 0.6654, 0.0660)  2 Cd 2.80-2.82
N (0.3257, 0.6743, 0.9712)  1 C 1.18
C (0.3367, 0.6633, 0.1420)  1 N 1.18
Cd (0.0003, 0.9997, 0.3189)  6 Br 2.80-2.82
C (0.6633, 0.3367, 0.6420)  1 N 1.18
Br (0.1670, 0.8330, 0.5675)  2 Cd 2.80-2.81
Br (0.1677, 0.3346, 0.5660)  2 Cd 2.80-2.82
Br (0.8330, 0.1670, 0.0675)  2 Cd 2.80-2.81
Br (0.6654, 0.8323, 0.5660)  2 Cd 2.80-2.82

Summary:
As for the space group: No. 36. As for the crystal system: orthorhombic.

***

DFT (PBE-GGA) results for CdCSBr2N3O after structural relaxation.

Unit cell a=10.0242 b=10.0242 c=7.1586 alpha=70.13 beta=70.13 gamma=119.69
Last column: nearest neighbours and their distance in Å.
Fractional coordinates of all 18 atoms:
S (0.7577, 0.0997, 0.4908)  1 C 1.63
Cd (0.3357, 0.9604, 0.4464)  1 N 2.33
Br (0.0852, 0.0161, 0.5440)  2 O 2.47-2.48, 1 Cd 2.75
Br (0.3350, 0.6752, 0.5894)  2 Cd 2.67-2.69
C (0.8523, 0.2208, 0.5847)  1 N 1.18
N (0.9168, 0.3010, 0.6615)  1 C 1.18
N (0.6066, 0.4490, 0.5819)  1 N 1.11
O (0.8969, 0.8179, 0.0085)  1 S 2.37, 2 Br 2.47-2.48
Br (0.6752, 0.3350, 0.0894)  2 Cd 2.67-2.69
N (0.3233, 0.5030, 0.0944)  1 N 1.11
N (0.3010, 0.9168, 0.1615)  1 C 1.18
O (0.8179, 0.8969, 0.5085)  1 S 2.37, 2 Br 2.47-2.48
N (0.4490, 0.6066, 0.0819)  1 N 1.11
S (0.0997, 0.7577, 0.9908)  1 C 1.63
N (0.5030, 0.3233, 0.5944)  1 N 1.11
Br (0.0161, 0.0852, 0.0440)  2 O 2.47-2.48, 1 Cd 2.75
Cd (0.9604, 0.3357, 0.9464)  1 N 2.33
C (0.2208, 0.8523, 0.0847)  1 N 1.18

Summary:
As for the space group: No. 9. As for the crystal system: monoclinic.

***

DFT (PBE-GGA) results for Ce3C2Br3 after structural relaxation.

Unit cell a=10.1574 b=10.1574 c=16.8474 alpha=90.00 beta=90.00 gamma=112.24
Last column: nearest neighbours and their distance in Å.
Fractional coordinates of all 64 atoms:
C (0.2859, 0.7289, 0.4070)  1 C 1.40
Ce (0.7248, 0.7553, 0.8953)  2 C 2.32-2.59
C (0.6430, 0.8378, 0.0253)  1 C 1.40
Br (0.3599, 0.1276, 0.7419)  4 Ce 3.01-3.21
Br (0.1190, 0.3574, 0.9977)  4 Ce 3.06-3.15
Ce (0.3566, 0.6107, 0.5033)  1 C 2.29
C (0.8378, 0.6430, 0.9747)  1 C 1.40
C (0.2126, 0.7765, 0.1498)  1 C 1.40
Ce (0.3363, 0.6637, 0.2500)  4 C 2.61-2.82
Br (0.0094, 0.9972, 0.8821)  4 Ce 3.01-3.23
Ce (0.0522, 0.5181, 0.3941)  4 C 2.53-2.73
Ce (0.5181, 0.0522, 0.6059)  4 C 2.53-2.73
C (0.7874, 0.2235, 0.6498)  1 C 1.40
Ce (0.6107, 0.3566, 0.4967)  1 C 2.29
Br (0.7459, 0.2339, 0.1305)  4 Ce 3.03-3.18
Br (0.4850, 0.4741, 0.8687)  4 Ce 3.00-3.34
C (0.7141, 0.2711, 0.9070)  1 C 1.40
Br (0.3971, 0.1346, 0.2425)  4 Ce 3.02-3.30
Ce (0.1780, 0.8958, 0.4842)  4 C 2.55-2.72
Ce (0.3893, 0.6434, 0.9967)  1 C 2.29
Br (0.7661, 0.2541, 0.3695)  4 Ce 3.03-3.18
Ce (0.2752, 0.2447, 0.3953)  2 C 2.32-2.59
C (0.3570, 0.1622, 0.5253)  1 C 1.40
Ce (0.4832, 0.9757, 0.3744)  1 C 2.29
C (0.8986, 0.5830, 0.0317)  1 C 1.40
Br (0.1276, 0.3599, 0.2581)  4 Ce 3.01-3.21
Ce (0.0243, 0.5168, 0.1256)  1 C 2.29
Br (0.8810, 0.6426, 0.4977)  4 Ce 3.06-3.15
C (0.5830, 0.8986, 0.9683)  1 C 1.40
C (0.1622, 0.3570, 0.4747)  1 C 1.40
Br (0.9972, 0.0094, 0.1179)  4 Ce 3.01-3.23
Br (0.2339, 0.7459, 0.8695)  4 Ce 3.03-3.18
Br (0.4741, 0.4850, 0.1313)  4 Ce 3.00-3.34
C (0.7765, 0.2126, 0.8502)  1 C 1.40
Br (0.5150, 0.5259, 0.3687)  4 Ce 3.00-3.34
Ce (0.8958, 0.1780, 0.5158)  4 C 2.55-2.72
Br (0.5259, 0.5150, 0.6313)  4 Ce 3.00-3.34
C (0.1014, 0.4170, 0.5317)  1 C 1.40
Ce (0.2447, 0.2752, 0.6047)  2 C 2.32-2.59
Br (0.6426, 0.8810, 0.5023)  4 Ce 3.06-3.15
Ce (0.6637, 0.3363, 0.7500)  4 C 2.61-2.82
Br (0.8724, 0.6401, 0.7581)  4 Ce 3.01-3.21
C (0.2711, 0.7141, 0.0930)  1 C 1.40
Br (0.2541, 0.7661, 0.6305)  4 Ce 3.03-3.18
Ce (0.6434, 0.3893, 0.0033)  1 C 2.29
Br (0.3574, 0.1190, 0.0023)  4 Ce 3.06-3.15
Ce (0.1253, 0.8747, 0.2500)  2 C 2.30
C (0.7289, 0.2859, 0.5930)  1 C 1.40
Br (0.0028, 0.9906, 0.6179)  4 Ce 3.01-3.23
C (0.2235, 0.7874, 0.3502)  1 C 1.40
Br (0.9906, 0.0028, 0.3821)  4 Ce 3.01-3.23
Ce (0.9478, 0.4819, 0.8941)  4 C 2.53-2.73
Ce (0.9757, 0.4832, 0.6256)  1 C 2.29
Ce (0.7553, 0.7248, 0.1047)  2 C 2.32-2.59
C (0.4170, 0.1014, 0.4683)  1 C 1.40
Ce (0.8747, 0.1253, 0.7500)  2 C 2.30
Ce (0.4819, 0.9478, 0.1059)  4 C 2.53-2.73
Ce (0.1042, 0.8220, 0.0158)  4 C 2.55-2.72
Br (0.8654, 0.6029, 0.2575)  4 Ce 3.02-3.30
Ce (0.5168, 0.0243, 0.8744)  1 C 2.29
Br (0.6029, 0.8654, 0.7425)  4 Ce 3.02-3.30
Br (0.6401, 0.8724, 0.2419)  4 Ce 3.01-3.21
Ce (0.8220, 0.1042, 0.9842)  4 C 2.55-2.72
Br (0.1346, 0.3971, 0.7575)  4 Ce 3.02-3.30

Summary:
As for the space group: No. 20. As for the crystal system: orthorhombic.

***

DFT (PBE-GGA) results for Cu2H12C4Br3N after structural relaxation.

Unit cell a=6.7230 b=9.9837 c=17.6281 alpha=90.00 beta=90.00 gamma=90.00
Last column: nearest neighbours and their distance in Å.
Fractional coordinates of all 88 atoms:
Br (0.7500, 0.9927, 0.3369)  2 Cu 2.44
H (0.3833, 0.4040, 0.5674)  1 C 1.10
Cu (0.5027, 0.0624, 0.5688)  4 Br 2.44-2.62, 1 Cu 2.73
H (0.4303, 0.6616, 0.7138)  1 C 1.09
C (0.7500, 0.5333, 0.4278)  3 H 1.09-1.10
H (0.2500, 0.4717, 0.7647)  1 C 1.09
C (0.7500, 0.9239, 0.7911)  3 H 1.09
Br (0.7500, 0.6246, 0.0392)  4 Cu 2.55-2.62
H (0.3836, 0.1374, 0.2012)  1 C 1.09
H (0.0697, 0.6616, 0.7138)  1 C 1.09
H (0.9379, 0.5508, 0.6517)  1 C 1.09
H (0.2500, 0.0283, 0.2647)  1 C 1.09
H (0.1167, 0.4040, 0.5674)  1 C 1.10
N (0.2500, 0.5307, 0.6491)  4 C 1.50
H (0.1164, 0.3626, 0.7012)  1 C 1.09
Br (0.2500, 0.4927, 0.1631)  2 Cu 2.44
Cu (0.0027, 0.5624, 0.9312)  4 Br 2.44-2.62, 1 Cu 2.73
H (0.9379, 0.9492, 0.1517)  1 C 1.09
H (0.4379, 0.0508, 0.8483)  1 C 1.09
H (0.6167, 0.9040, 0.9326)  1 C 1.10
H (0.9303, 0.3384, 0.2862)  1 C 1.09
Br (0.2500, 0.7428, 0.9067)  2 Cu 2.49
H (0.1164, 0.1374, 0.2012)  1 C 1.09
H (0.7500, 0.5283, 0.2353)  1 C 1.09
H (0.2500, 0.5462, 0.5295)  1 C 1.09
Br (0.2500, 0.0073, 0.6631)  2 Cu 2.44
C (0.7500, 0.9667, 0.9278)  3 H 1.09-1.10
H (0.5697, 0.3384, 0.2862)  1 C 1.09
C (0.5679, 0.3842, 0.3426)  3 H 1.09
Br (0.7500, 0.5073, 0.8369)  2 Cu 2.44
H (0.7500, 0.9717, 0.7353)  1 C 1.09
Br (0.2500, 0.3754, 0.9608)  4 Cu 2.55-2.62
H (0.0621, 0.0508, 0.8483)  1 C 1.09
C (0.9321, 0.3842, 0.3426)  3 H 1.09
H (0.7500, 0.0462, 0.9705)  1 C 1.09
H (0.2500, 0.9538, 0.0295)  1 C 1.09
H (0.7500, 0.4538, 0.4705)  1 C 1.09
H (0.5697, 0.1616, 0.7862)  1 C 1.09
H (0.4379, 0.4492, 0.3483)  1 C 1.09
C (0.2500, 0.0761, 0.2089)  3 H 1.09
H (0.5621, 0.9492, 0.1517)  1 C 1.09
N (0.7500, 0.0307, 0.8509)  4 C 1.50
C (0.2500, 0.0333, 0.0722)  3 H 1.09-1.10
Br (0.7500, 0.2572, 0.0933)  2 Cu 2.49
Cu (0.4973, 0.9376, 0.4312)  4 Br 2.44-2.62, 1 Cu 2.73
C (0.2500, 0.4239, 0.7089)  3 H 1.09
C (0.4321, 0.8842, 0.1574)  3 H 1.09
H (0.6167, 0.5960, 0.4326)  1 C 1.10
C (0.5679, 0.1158, 0.8426)  3 H 1.09
Cu (0.4973, 0.5624, 0.9312)  4 Br 2.44-2.62, 1 Cu 2.73
H (0.9309, 0.3068, 0.3865)  1 C 1.09
H (0.9309, 0.1932, 0.8865)  1 C 1.09
C (0.4321, 0.6158, 0.6574)  3 H 1.09
N (0.2500, 0.9693, 0.1491)  4 C 1.50
Cu (0.9973, 0.4376, 0.0688)  4 Br 2.44-2.62, 1 Cu 2.73
H (0.6164, 0.8626, 0.7988)  1 C 1.09
C (0.2500, 0.4667, 0.5722)  3 H 1.09-1.10
H (0.5621, 0.5508, 0.6517)  1 C 1.09
H (0.5691, 0.1932, 0.8865)  1 C 1.09
H (0.0691, 0.8068, 0.1135)  1 C 1.09
Cu (0.0027, 0.9376, 0.4312)  4 Br 2.44-2.62, 1 Cu 2.73
C (0.0679, 0.8842, 0.1574)  3 H 1.09
Cu (0.9973, 0.0624, 0.5688)  4 Br 2.44-2.62, 1 Cu 2.73
H (0.0697, 0.8384, 0.2138)  1 C 1.09
H (0.3836, 0.3626, 0.7012)  1 C 1.09
C (0.9321, 0.1158, 0.8426)  3 H 1.09
H (0.8836, 0.8626, 0.7988)  1 C 1.09
C (0.0679, 0.6158, 0.6574)  3 H 1.09
Cu (0.5027, 0.4376, 0.0688)  4 Br 2.44-2.62, 1 Cu 2.73
H (0.0691, 0.6932, 0.6135)  1 C 1.09
H (0.4303, 0.8384, 0.2138)  1 C 1.09
H (0.6164, 0.6374, 0.2988)  1 C 1.09
H (0.4309, 0.6932, 0.6135)  1 C 1.09
H (0.9303, 0.1616, 0.7862)  1 C 1.09
Br (0.2500, 0.7572, 0.4067)  2 Cu 2.49
Br (0.7500, 0.8754, 0.5392)  4 Cu 2.55-2.62
N (0.7500, 0.4693, 0.3509)  4 C 1.50
H (0.3833, 0.0960, 0.0674)  1 C 1.10
Br (0.2500, 0.1246, 0.4608)  4 Cu 2.55-2.62
H (0.5691, 0.3068, 0.3865)  1 C 1.09
H (0.1167, 0.0960, 0.0674)  1 C 1.10
H (0.8836, 0.6374, 0.2988)  1 C 1.09
C (0.7500, 0.5761, 0.2911)  3 H 1.09
H (0.8833, 0.5960, 0.4326)  1 C 1.10
H (0.8833, 0.9040, 0.9326)  1 C 1.10
Br (0.7500, 0.2428, 0.5933)  2 Cu 2.49
H (0.4309, 0.8068, 0.1135)  1 C 1.09
H (0.0621, 0.4492, 0.3483)  1 C 1.09

Summary:
As for the space group: No. 62. As for the crystal system: orthorhombic.

***

DFT (PBE-GGA) results for Cu2H6C3Br2N6 after structural relaxation.

Unit cell a=4.7784 b=8.2186 c=16.7232 alpha=90.00 beta=90.00 gamma=89.05
Last column: nearest neighbours and their distance in Å.
Fractional coordinates of all 38 atoms:
N (0.4804, 0.1175, 0.2500)  2 C 1.34
N (0.4927, 0.8761, 0.6136)  2 H 1.01-1.02
C (0.7175, 0.5710, 0.7500)  3 N 1.34-1.36
Br (0.8575, 0.6692, 0.4445)  2 Cu 2.43-2.46, 1 H 2.66
H (0.4870, 0.8149, 0.9392)  1 N 1.02
Br (0.1425, 0.3308, 0.9445)  2 Cu 2.43-2.46, 1 H 2.66
N (0.1700, 0.5797, 0.2500)  2 H 1.02
H (0.1041, 0.6292, 0.3028)  1 N 1.02
N (0.8300, 0.4203, 0.7500)  2 H 1.02
N (0.3366, 0.3572, 0.1781)  2 C 1.36-1.37
H (0.5955, 0.0111, 0.1180)  1 N 1.01
N (0.5073, 0.1239, 0.1136)  2 H 1.01-1.02
H (0.1041, 0.6292, 0.1972)  1 N 1.02
C (0.4401, 0.2008, 0.1821)  3 N 1.34-1.37
C (0.5599, 0.7992, 0.6821)  3 N 1.34-1.37
H (0.5130, 0.1851, 0.4392)  1 N 1.02
Br (0.8575, 0.6692, 0.0555)  2 Cu 2.43-2.46, 1 H 2.66
N (0.5073, 0.1239, 0.3864)  2 H 1.01-1.02
H (0.4045, 0.9889, 0.6180)  1 N 1.01
Cu (0.8045, 0.5552, 0.5778)  1 N 1.94
C (0.5599, 0.7992, 0.8179)  3 N 1.34-1.37
H (0.8959, 0.3708, 0.6972)  1 N 1.02
N (0.5196, 0.8825, 0.7500)  2 C 1.34
Cu (0.1955, 0.4448, 0.4222)  1 N 1.94
Br (0.1425, 0.3308, 0.5555)  2 Cu 2.43-2.46, 1 H 2.66
H (0.5130, 0.1851, 0.0608)  1 N 1.02
H (0.5955, 0.0111, 0.3820)  1 N 1.01
C (0.4401, 0.2008, 0.3179)  3 N 1.34-1.37
N (0.3366, 0.3572, 0.3219)  2 C 1.36-1.37
H (0.4870, 0.8149, 0.5608)  1 N 1.02
H (0.4045, 0.9889, 0.8820)  1 N 1.01
N (0.4927, 0.8761, 0.8864)  2 H 1.01-1.02
Cu (0.8045, 0.5552, 0.9222)  1 N 1.94
H (0.8959, 0.3708, 0.8028)  1 N 1.02
C (0.2825, 0.4290, 0.2500)  3 N 1.34-1.36
N (0.6634, 0.6428, 0.6781)  2 C 1.36-1.37
Cu (0.1955, 0.4448, 0.0778)  1 N 1.94
N (0.6634, 0.6428, 0.8219)  2 C 1.36-1.37

Summary:
As for the space group: No. 11. As for the crystal system: monoclinic.

***

DFT (PBE-GGA) results for CuH12C6Br6N4 after structural relaxation.

Unit cell a=8.0280 b=8.4474 c=14.6598 alpha=96.51 beta=102.72 gamma=104.37
Last column: nearest neighbours and their distance in Å.
Fractional coordinates of all 58 atoms:
C (0.2685, 0.2800, 0.6482)  2 H 1.10
C (0.6672, 0.6286, 0.4289)  2 H 1.10
Br (0.6590, 0.9565, 0.6429)  1 Cu 2.39
H (0.3394, 0.1884, 0.6679)  1 C 1.10
H (0.2796, 0.3679, 0.7121)  1 C 1.10
H (0.5196, 0.1407, 0.8530)  1 C 1.10
H (0.6323, 0.4729, 0.8819)  1 N 1.04
Br (0.8190, 0.6428, 0.0819)  1 C 1.87
H (0.6606, 0.8116, 0.3321)  1 C 1.10
H (0.8445, 0.6016, 0.5624)  1 N 1.03
H (0.6556, 0.0624, 0.9976)  1 C 1.10
H (0.8565, 0.1013, 0.9606)  1 C 1.10
H (0.8815, 0.3114, 0.1135)  1 N 1.02
N (0.1784, 0.6923, 0.9561)  1 H 1.02
H (0.7204, 0.6321, 0.2879)  1 C 1.10
H (0.1555, 0.3984, 0.4376)  1 N 1.03
C (0.7495, 0.1541, 0.9722)  2 H 1.10
H (0.5908, 0.6931, 0.4657)  1 C 1.10
Br (0.2031, 0.8013, 0.5521)  1 C 1.86
Br (0.3410, 0.0435, 0.3571)  1 Cu 2.39
H (0.7296, 0.2146, 0.8274)  1 C 1.10
C (0.7644, 0.4295, 0.0106)  2 N 1.32-1.33
Br (0.9126, 0.0219, 0.1956)  1 Cu 2.42
Br (0.7969, 0.1987, 0.4479)  1 C 1.86
C (0.3416, 0.7853, 0.1167)  2 H 1.10
H (0.5892, 0.4996, 0.3995)  1 C 1.10
H (0.3444, 0.9376, 0.0024)  1 C 1.10
Br (0.1424, 0.4667, 0.2849)  1 H 2.36, 1 Cu 2.43
H (0.4108, 0.5004, 0.6005)  1 C 1.10
C (0.9699, 0.7425, 0.4770)  2 N 1.32-1.33
Br (0.1810, 0.3572, 0.9181)  1 C 1.87
H (0.4804, 0.8593, 0.1470)  1 C 1.10
H (0.4092, 0.3069, 0.5343)  1 C 1.10
Br (0.4481, 0.3053, 0.1796)  1 H 2.34, 1 Cu 2.41
Br (0.8576, 0.5333, 0.7151)  1 H 2.36, 1 Cu 2.43
N (0.1638, 0.3632, 0.5033)  1 H 1.03
Br (0.5519, 0.6947, 0.8204)  1 H 2.34, 1 Cu 2.41
N (0.9211, 0.8020, 0.3987)  1 H 1.02
C (0.3328, 0.3714, 0.5711)  2 H 1.10
Cu (0.7879, 0.7945, 0.7463)  4 Br 2.39-2.43
H (0.2704, 0.7854, 0.1726)  1 C 1.10
C (0.0301, 0.2575, 0.5230)  2 N 1.32-1.33
C (0.6584, 0.2147, 0.8833)  2 H 1.10
C (0.7315, 0.7200, 0.3518)  2 H 1.10
Br (0.0874, 0.9781, 0.8044)  1 Cu 2.42
N (0.3319, 0.6130, 0.0782)  1 H 1.04
H (0.1435, 0.8987, 0.0394)  1 C 1.10
N (0.8216, 0.3077, 0.0439)  1 H 1.02
H (0.1185, 0.6886, 0.8865)  1 N 1.02
H (0.0092, 0.8688, 0.3667)  1 N 1.02
N (0.8362, 0.6368, 0.4967)  1 H 1.03
Cu (0.2121, 0.2055, 0.2537)  4 Br 2.39-2.43
C (0.2356, 0.5705, 0.9894)  2 N 1.32-1.33
N (0.0789, 0.1980, 0.6013)  1 H 1.02
C (0.2505, 0.8459, 0.0278)  2 H 1.10
H (0.3677, 0.5271, 0.1181)  1 N 1.04
N (0.6681, 0.3870, 0.9218)  1 H 1.04
H (0.9908, 0.1312, 0.6333)  1 N 1.02

Summary:
As for the space group: No. 2. As for the crystal system: triclinic.

***

DFT (PBE-GGA) results for CuH8C2Br3NO after structural relaxation.

Unit cell a=6.4951 b=8.4266 c=8.9740 alpha=68.47 beta=79.88 gamma=76.94
Last column: nearest neighbours and their distance in Å.
Fractional coordinates of all 32 atoms:
H (0.6452, 0.3707, 0.2756)  1 O 0.99
Cu (0.2609, 0.0675, 0.3920)  4 Br 2.44-2.49
Br (0.9193, 0.2449, 0.4372)  1 H 2.31, 1 Cu 2.44
N (0.2748, 0.7452, 0.0100)  3 H 1.04
H (0.3332, 0.8450, 0.0204)  1 N 1.04
C (0.6223, 0.4608, 0.7231)  2 H 1.10
O (0.5277, 0.4261, 0.2066)  1 H 0.99
H (0.8738, 0.4675, 0.8481)  1 C 1.10
H (0.6913, 0.5348, 0.6030)  1 C 1.10
H (0.1262, 0.5325, 0.1519)  1 C 1.10
H (0.3909, 0.6783, 0.9480)  1 N 1.04
N (0.7252, 0.2548, 0.9900)  3 H 1.04
Br (0.7815, 0.8857, 0.8870)  2 H 2.40-2.61, 1 Cu 2.44
H (0.6668, 0.1550, 0.9796)  1 N 1.04
Cu (0.7391, 0.9325, 0.6080)  4 Br 2.44-2.49
H (0.6091, 0.3217, 0.0520)  1 N 1.04
H (0.1472, 0.8019, 0.9405)  1 N 1.04
C (0.3777, 0.5392, 0.2769)  2 H 1.10
O (0.4723, 0.5739, 0.7934)  1 H 0.99
H (0.5437, 0.3641, 0.7100)  1 C 1.10
Br (0.6260, 0.9097, 0.3666)  2 Cu 2.46-2.49
H (0.3548, 0.6293, 0.7244)  1 O 0.99
Br (0.3740, 0.0903, 0.6334)  2 Cu 2.46-2.49
Br (0.0807, 0.7551, 0.5628)  1 H 2.31, 1 Cu 2.44
Br (0.2185, 0.1143, 0.1130)  2 H 2.40-2.61, 1 Cu 2.44
H (0.9229, 0.2932, 0.7713)  1 C 1.10
H (0.3087, 0.4652, 0.3970)  1 C 1.10
H (0.4563, 0.6359, 0.2900)  1 C 1.10
H (0.0771, 0.7068, 0.2287)  1 C 1.10
C (0.8011, 0.3722, 0.8285)  2 H 1.10
H (0.8528, 0.1981, 0.0595)  1 N 1.04
C (0.1989, 0.6278, 0.1715)  2 H 1.10

Summary:
As for the space group: No. 2. As for the crystal system: triclinic.

***

Calculated formation energy
In order: 2.391, 0.600, -11.057, -5.308, -6.173, -6.854, -7.299
Unit: eV/f.u.
Raw total energy
In order: -41.3, -91.5, -405.0, -416.1, -227.1, -297.5, -149.0
Unit: eV for the cell shown